(1)
KPrMnBiO6 | PBE+U | optimized geometry

Lattice parameters (Å, degrees): 5.7749 5.7749 5.7749 60.00 60.00 60.00
Last column: nearest neighbours and their distance in Å.
Sites, in units of the cell vectors:
K (0.2500, 0.2500, 0.2500)  12 O 2.89
Pr (0.7500, 0.7500, 0.7500)  12 O 2.89
Mn (0.5000, 0.5000, 0.5000)  6 O 1.95
Bi (0.0000, 0.0000, 0.0000)  6 O 2.13
O (0.7389, 0.2611, 0.2611)  1 Mn 1.95, 1 Bi 2.13
O (0.2611, 0.7389, 0.7389)  1 Mn 1.95, 1 Bi 2.13
O (0.7389, 0.2611, 0.7389)  1 Mn 1.95, 1 Bi 2.13
O (0.2611, 0.7389, 0.2611)  1 Mn 1.95, 1 Bi 2.13
O (0.7389, 0.7389, 0.2611)  1 Mn 1.95, 1 Bi 2.13
O (0.2611, 0.2611, 0.7389)  1 Mn 1.95, 1 Bi 2.13

Results
total moment	3.9	μB/cell
space-group type	F-43m, No. 216
formation energy from the elements	-2.068	eV per atom

***

(2)
V6H2Pb4Se3O26 | PBE+U | optimized geometry

Lattice parameters (Å, degrees): 7.2389 7.3946 21.9758 89.60 97.83 94.36
Last column: nearest neighbours and their distance in Å.
Sites, in units of the cell vectors:
V (0.9214, 0.7017, 0.3046)  2 O 1.65-1.78
V (0.0786, 0.2983, 0.6954)  2 O 1.65-1.78
V (0.1297, 0.6975, 0.1899)  2 O 1.65-1.77
V (0.8703, 0.3025, 0.8101)  2 O 1.65-1.77
V (0.8778, 0.3228, 0.3909)  2 O 1.68-1.70
V (0.1222, 0.6772, 0.6091)  2 O 1.68-1.70
V (0.9592, 0.3282, 0.1056)  2 O 1.68-1.72
V (0.0408, 0.6718, 0.8944)  2 O 1.68-1.72
V (0.4231, 0.6371, 0.3095)  2 O 1.66-1.71
V (0.5769, 0.3629, 0.6905)  2 O 1.66-1.71
V (0.6197, 0.6404, 0.1875)  2 O 1.66-1.72
V (0.3803, 0.3596, 0.8125)  2 O 1.66-1.72
H (0.6370, 0.1864, 0.2607)  1 O 0.98
H (0.3630, 0.8136, 0.7393)  1 O 0.98
H (0.4188, 0.1327, 0.2499)  1 O 1.00
H (0.5812, 0.8673, 0.7501)  1 O 1.00
Pb (0.4637, 0.1172, 0.1187)  6 O 2.51-2.72
Pb (0.5363, 0.8828, 0.8813)  6 O 2.51-2.72
Pb (0.3593, 0.1146, 0.3892)  6 O 2.47-2.64
Pb (0.6407, 0.8854, 0.6108)  6 O 2.47-2.64
Pb (0.1615, 0.1656, 0.9520)  6 O 2.50-2.77
Pb (0.8385, 0.8344, 0.0480)  6 O 2.50-2.77
Pb (0.8031, 0.8240, 0.4467)  7 O 2.56-2.86
Pb (0.1969, 0.1760, 0.5533)  7 O 2.56-2.86
Se (0.6711, 0.3156, 0.9754)  3 O 1.72-1.79
Se (0.3289, 0.6844, 0.0246)  3 O 1.72-1.79
Se (0.3029, 0.6729, 0.4758)  3 O 1.73-1.79
Se (0.6971, 0.3271, 0.5242)  3 O 1.73-1.79
Se (0.0020, 0.1821, 0.2489)  3 O 1.68-1.78
Se (0.9980, 0.8179, 0.7511)  3 O 1.68-1.78
O (0.4824, 0.7991, 0.3655)  1 V 1.71
O (0.5176, 0.2009, 0.6345)  1 V 1.71
O (0.8078, 0.1389, 0.1107)  1 V 1.72
O (0.1922, 0.8611, 0.8893)  1 V 1.72
O (0.4769, 0.2488, 0.0104)  1 Se 1.73
O (0.5231, 0.7512, 0.9896)  1 Se 1.73
O (0.5896, 0.7969, 0.1291)  1 V 1.72
O (0.4104, 0.2031, 0.8709)  1 V 1.72
O (0.7800, 0.1177, 0.9718)  1 Se 1.72
O (0.2200, 0.8823, 0.0282)  1 Se 1.72
O (0.5291, 0.7453, 0.5068)  1 Se 1.73
O (0.4709, 0.2547, 0.4932)  1 Se 1.73
O (0.2139, 0.5608, 0.5392)  1 Se 1.79, 1 V 1.98
O (0.7861, 0.4392, 0.4608)  1 Se 1.79, 1 V 1.98
O (0.1724, 0.9115, 0.1709)  1 V 1.65
O (0.8276, 0.0885, 0.8291)  1 V 1.65
O (0.1341, 0.2512, 0.0728)  1 V 1.68
O (0.8659, 0.7488, 0.9272)  1 V 1.68
O (0.7048, 0.1531, 0.3865)  1 V 1.70
O (0.2952, 0.8469, 0.6135)  1 V 1.70
O (0.6261, 0.4381, 0.1555)  1 V 1.66
O (0.3739, 0.5619, 0.8445)  1 V 1.66
O (0.9282, 0.9137, 0.3283)  1 V 1.65
O (0.0718, 0.0863, 0.6717)  1 V 1.65
O (0.0710, 0.2390, 0.4283)  1 V 1.68
O (0.9290, 0.7610, 0.5717)  1 V 1.68
O (0.1898, 0.8707, 0.4703)  1 Se 1.73
O (0.8102, 0.1293, 0.5297)  1 Se 1.73
O (0.8835, 0.7054, 0.2136)  3 V 1.93-1.98
O (0.1165, 0.2946, 0.7864)  3 V 1.93-1.98
O (0.6598, 0.6412, 0.2798)  3 V 1.91-2.01
O (0.3402, 0.3588, 0.7202)  3 V 1.91-2.01
O (0.9160, 0.3232, 0.3022)  1 Se 1.78
O (0.0840, 0.6768, 0.6978)  1 Se 1.78
O (0.0480, 0.3509, 0.1937)  1 Se 1.78, 1 V 1.96
O (0.9520, 0.6491, 0.8063)  1 Se 1.78, 1 V 1.96
O (0.8129, 0.4369, 0.0375)  1 Se 1.79, 1 V 1.92
O (0.1871, 0.5631, 0.9625)  1 Se 1.79, 1 V 1.92
O (0.2227, 0.1550, 0.2813)  1 H 1.68, 1 Se 1.68
O (0.7773, 0.8450, 0.7187)  1 H 1.68, 1 Se 1.68
O (0.9219, 0.5858, 0.3760)  2 V 1.78-1.98
O (0.0781, 0.4142, 0.6240)  2 V 1.78-1.98
O (0.0458, 0.5973, 0.1177)  1 V 1.77
O (0.9542, 0.4027, 0.8823)  1 V 1.77
O (0.1649, 0.6826, 0.2851)  3 V 1.89-2.08
O (0.8351, 0.3174, 0.7149)  3 V 1.89-2.08
O (0.3751, 0.6261, 0.2124)  3 V 1.89-2.12
O (0.6249, 0.3739, 0.7876)  3 V 1.89-2.12
O (0.4189, 0.4413, 0.3465)  1 V 1.66
O (0.5811, 0.5587, 0.6535)  1 V 1.66
O (0.5405, 0.1057, 0.2367)  2 H 0.98-1.00
O (0.4595, 0.8943, 0.7633)  2 H 0.98-1.00

Results
energy above the most stable polymorph in this dataset	0.00	eV/f.u.
total moment	0.0	μB/cell
space-group type	P-1, No. 2
formation energy from the elements	-1.901	eV per atom

***

(3)
Li14V9P16O56 | PBE+U | optimized geometry

Lattice parameters (Å, degrees): 10.8701 9.7649 12.9822 69.42 116.78 107.91
Last column: nearest neighbours and their distance in Å.
Sites, in units of the cell vectors:
Li (0.0195, 0.1484, 0.8898)  3 O 1.98-2.09
Li (0.1255, 0.9304, 0.5878)  3 O 2.02-2.06
Li (0.3719, 0.0477, 0.9117)  3 O 1.95-2.09
Li (0.1317, 0.4262, 0.0930)  3 O 2.00-2.13
Li (0.3742, 0.5476, 0.4105)  4 O 1.96-2.20
Li (0.5004, 0.3678, 0.8168)  2 O 1.95-1.96
Li (0.4906, 0.8662, 0.3210)  2 O 1.95-1.97
Li (0.5094, 0.1338, 0.6790)  2 O 1.95-1.97
Li (0.4996, 0.6322, 0.1832)  2 O 1.95-1.96
Li (0.6258, 0.4524, 0.5895)  4 O 1.96-2.20
Li (0.8683, 0.5738, 0.9070)  3 O 2.00-2.13
Li (0.6281, 0.9523, 0.0883)  3 O 1.95-2.09
Li (0.8745, 0.0696, 0.4122)  3 O 2.02-2.06
Li (0.9805, 0.8516, 0.1102)  3 O 1.98-2.09
V (0.2279, 0.7003, 0.9235)  6 O 2.11-2.35
V (0.0000, 0.5000, 0.5000)  6 O 2.17-2.42
V (0.2671, 0.5667, 0.7051)  6 O 2.12-2.23
V (0.2253, 0.1984, 0.4228)  6 O 2.12-2.35
V (0.7432, 0.9373, 0.8026)  6 O 2.12-2.25
V (0.2568, 0.0627, 0.1974)  6 O 2.12-2.25
V (0.7747, 0.8016, 0.5772)  6 O 2.12-2.35
V (0.7329, 0.4333, 0.2949)  6 O 2.12-2.23
V (0.7721, 0.2997, 0.0765)  6 O 2.11-2.35
P (0.0509, 0.9716, 0.7704)  4 O 1.52-1.64
P (0.3029, 0.3583, 0.9895)  4 O 1.51-1.63
P (0.0495, 0.4707, 0.2715)  4 O 1.53-1.63
P (0.4630, 0.8122, 0.8641)  4 O 1.52-1.60
P (0.2049, 0.2320, 0.6604)  4 O 1.53-1.63
P (0.2946, 0.8507, 0.4868)  4 O 1.51-1.65
P (0.2067, 0.7279, 0.1614)  4 O 1.52-1.66
P (0.5384, 0.6930, 0.6352)  4 O 1.52-1.60
P (0.4616, 0.3070, 0.3648)  4 O 1.52-1.60
P (0.7933, 0.2721, 0.8386)  4 O 1.52-1.66
P (0.7054, 0.1493, 0.5132)  4 O 1.51-1.65
P (0.7951, 0.7680, 0.3396)  4 O 1.53-1.63
P (0.5370, 0.1878, 0.1359)  4 O 1.52-1.60
P (0.9505, 0.5293, 0.7285)  4 O 1.53-1.63
P (0.6971, 0.6417, 0.0105)  4 O 1.51-1.63
P (0.9491, 0.0284, 0.2296)  4 O 1.52-1.64
O (0.0184, 0.5956, 0.8363)  1 P 1.53
O (0.1900, 0.9208, 0.8565)  1 P 1.53
O (0.0478, 0.5491, 0.6661)  1 P 1.53
O (0.0945, 0.1523, 0.7266)  2 P 1.63-1.64
O (0.3127, 0.7502, 0.7858)  1 P 1.55
O (0.4549, 0.8433, 0.9705)  1 P 1.56
O (0.1985, 0.7020, 0.5171)  1 P 1.55
O (0.2718, 0.9756, 0.5192)  1 P 1.54
O (0.3103, 0.4004, 0.8682)  1 P 1.51
O (0.1826, 0.3940, 0.6104)  1 P 1.53
O (0.0894, 0.6505, 0.2235)  2 P 1.63-1.66
O (0.0152, 0.0931, 0.3385)  1 P 1.53
O (0.1546, 0.1538, 0.5612)  1 P 1.53
O (0.3023, 0.8929, 0.3657)  1 P 1.51
O (0.1892, 0.4219, 0.3577)  1 P 1.53
O (0.1803, 0.8866, 0.1109)  1 P 1.52
O (0.5391, 0.9442, 0.7976)  1 P 1.52
O (0.5420, 0.6746, 0.9134)  2 P 1.60-1.63
O (0.3525, 0.2097, 0.7514)  1 P 1.53
O (0.0445, 0.0411, 0.1689)  1 P 1.52
O (0.1591, 0.6467, 0.0644)  1 P 1.53
O (0.4542, 0.8266, 0.5838)  2 P 1.60-1.65
O (0.4652, 0.5590, 0.7033)  1 P 1.52
O (0.3528, 0.7021, 0.2551)  1 P 1.53
O (0.7162, 0.5167, 0.9758)  1 P 1.54
O (0.8002, 0.7860, 0.9872)  1 P 1.54
O (0.3118, 0.2435, 0.2869)  1 P 1.55
O (0.4526, 0.3392, 0.4706)  1 P 1.56
O (0.5474, 0.6608, 0.5294)  1 P 1.56
O (0.6882, 0.7565, 0.7131)  1 P 1.55
O (0.1998, 0.2140, 0.0128)  1 P 1.54
O (0.2838, 0.4833, 0.0242)  1 P 1.54
O (0.6472, 0.2979, 0.7449)  1 P 1.53
O (0.5348, 0.4410, 0.2967)  1 P 1.52
O (0.5458, 0.1734, 0.4162)  2 P 1.60-1.65
O (0.8409, 0.3533, 0.9356)  1 P 1.53
O (0.9555, 0.9589, 0.8311)  1 P 1.52
O (0.6475, 0.7903, 0.2486)  1 P 1.53
O (0.4580, 0.3254, 0.0866)  2 P 1.60-1.63
O (0.4609, 0.0558, 0.2024)  1 P 1.52
O (0.8197, 0.1134, 0.8891)  1 P 1.52
O (0.8108, 0.5781, 0.6423)  1 P 1.53
O (0.6977, 0.1071, 0.6343)  1 P 1.51
O (0.8454, 0.8462, 0.4388)  1 P 1.53
O (0.9848, 0.9069, 0.6615)  1 P 1.53
O (0.9106, 0.3495, 0.7765)  2 P 1.63-1.66
O (0.8174, 0.6060, 0.3896)  1 P 1.53
O (0.6897, 0.5996, 0.1318)  1 P 1.51
O (0.7282, 0.0244, 0.4808)  1 P 1.54
O (0.8015, 0.2980, 0.4829)  1 P 1.55
O (0.5451, 0.1567, 0.0295)  1 P 1.56
O (0.6873, 0.2498, 0.2142)  1 P 1.55
O (0.9055, 0.8477, 0.2734)  2 P 1.63-1.64
O (0.9522, 0.4509, 0.3339)  1 P 1.53
O (0.8100, 0.0792, 0.1435)  1 P 1.53
O (0.9816, 0.4044, 0.1637)  1 P 1.53

Results
total moment	27.0	μB/cell
space-group type	P-1, No. 2
formation energy from the elements	-2.635	eV per atom

***

(4)
MgWBr4O | PBE+U | optimized geometry

Lattice parameters (Å, degrees): 3.9065 7.3551 7.6069 76.24 75.27 74.57
Last column: nearest neighbours and their distance in Å.
Sites, in units of the cell vectors:
Mg (0.3001, 0.4530, 0.9833)  6 Br 2.65-2.85
W (0.0251, 0.0025, 0.9819)  2 O 1.95-1.96
Br (0.2582, 0.7799, 0.7345)  1 W 2.62, 1 Mg 2.68
Br (0.7861, 0.2454, 0.2222)  1 W 2.68, 2 Mg 2.85
Br (0.0618, 0.6846, 0.2290)  1 W 2.62, 1 Mg 2.65
Br (0.9720, 0.3408, 0.7471)  1 W 2.69, 2 Mg 2.82-2.83
O (0.5204, 0.0124, 0.9816)  2 W 1.95-1.96

Results
energy above the most stable polymorph in this dataset	0.38	eV/f.u.
total moment	2.0	μB/cell
space-group type	P1, No. 1
formation energy from the elements	-1.102	eV per atom

***

(5)
Li11V6O5F19 | PBE+U | optimized geometry

Lattice parameters (Å, degrees): 5.1994 5.4761 16.1615 80.57 89.38 89.33
Last column: nearest neighbours and their distance in Å.
Sites, in units of the cell vectors:
Li (0.5437, 0.5114, 0.2107)  4 F 1.90-2.08
Li (0.0115, 0.1877, 0.7697)  4 F 1.92-2.14
Li (0.4983, 0.3588, 0.4370)  3 F 1.95-2.17, 1 O 2.09
Li (0.0208, 0.4842, 0.0939)  2 F 1.98, 1 O 2.01
Li (0.5104, 0.9893, 0.8889)  4 F 1.88-2.05
Li (0.5215, 0.8792, 0.5323)  4 F 1.87-2.07
Li (0.9676, 0.0111, 0.2114)  4 F 1.87-2.05
Li (0.9999, 0.8457, 0.4380)  2 F 1.95-1.99, 1 O 2.12
Li (0.4828, 0.6597, 0.7675)  2 F 1.94-1.96, 1 O 1.98
Li (0.4982, 0.0328, 0.1071)  4 F 1.88-2.05
Li (0.9921, 0.5325, 0.9003)  2 F 1.97, 1 O 2.00
V (0.9798, 0.3398, 0.3389)  2 O 1.87-1.95, 1 F 1.96
V (0.5193, 0.1894, 0.6686)  1 O 1.89, 4 F 1.92-2.05
V (0.0046, 0.0058, 0.9964)  2 O 1.96-1.97, 4 F 1.99-2.08
V (0.5061, 0.5064, 0.9964)  2 O 1.95-1.96, 4 F 2.01-2.07
V (0.5276, 0.8457, 0.3375)  2 O 1.89-1.91, 3 F 2.04-2.10
V (0.9868, 0.6578, 0.6666)  1 O 1.92, 5 F 1.95-2.08
O (0.8022, 0.6146, 0.3675)  2 V 1.87-1.91
O (0.8137, 0.2985, 0.0206)  2 V 1.96-1.97, 1 Li 2.01
O (0.6975, 0.1132, 0.3724)  2 V 1.89-1.95, 1 Li 2.09
O (0.1958, 0.7109, 0.9755)  2 V 1.95-1.96, 1 Li 2.00
O (0.6978, 0.4521, 0.7043)  2 V 1.89-1.92, 1 Li 1.98
F (0.6849, 0.7966, 0.0398)  1 Li 2.05, 2 V 2.07-2.08
F (0.3135, 0.5510, 0.2999)  1 Li 1.90, 1 V 2.13
F (0.8704, 0.0868, 0.8801)  2 Li 1.92-1.95, 1 V 1.99
F (0.5942, 0.2125, 0.5508)  1 V 1.92, 2 Li 1.94-1.95
F (0.8827, 0.3789, 0.2089)  3 Li 1.90-2.05
F (0.3839, 0.3854, 0.1167)  3 Li 1.96-2.04, 1 V 2.04
F (0.3662, 0.0547, 0.7811)  2 Li 1.88-1.97, 1 V 2.01
F (0.1565, 0.2115, 0.4441)  2 Li 1.95-2.19, 1 V 1.96
F (0.8219, 0.9567, 0.7085)  1 Li 2.00, 2 V 2.05
F (0.3284, 0.8531, 0.6461)  2 Li 2.07-2.22, 2 V 2.08-2.19
F (0.1930, 0.0437, 0.2986)  1 Li 1.87, 1 V 2.09
F (0.6312, 0.6371, 0.8797)  3 Li 1.96-2.05, 1 V 2.01
F (0.1384, 0.9336, 0.1150)  2 Li 1.89-1.95, 1 V 2.02
F (0.8691, 0.7667, 0.5525)  2 Li 1.92-1.95, 1 V 1.95
F (0.6354, 0.8806, 0.2104)  3 Li 1.88-2.08, 1 V 2.10
F (0.1312, 0.5499, 0.7857)  3 Li 1.94-2.14, 1 V 2.07
F (0.3608, 0.7248, 0.4518)  2 Li 1.87-1.99, 1 V 2.04
F (0.3265, 0.2125, 0.9554)  1 Li 1.99, 2 V 2.07
F (0.1815, 0.3631, 0.6413)  2 V 1.99-2.01

Results
energy above the most stable polymorph in this dataset	0.53	eV/f.u.
total moment	12.0	μB/cell
space-group type	P1, No. 1
formation energy from the elements	-2.984	eV per atom

***

> What is the formation energy from the elements in the fifth record?

-2.984 eV per atom

***

> The lowest total moment belongs to which entry?

V6H2Pb4Se3O26

***

Repeat the first record exactly.
KPrMnBiO6 | PBE+U | optimized geometry

Lattice parameters (Å, degrees): 5.7749 5.7749 5.7749 60.00 60.00 60.00
Last column: nearest neighbours and their distance in Å.
Sites, in units of the cell vectors:
K (0.2500, 0.2500, 0.2500)  12 O 2.89
Pr (0.7500, 0.7500, 0.7500)  12 O 2.89
Mn (0.5000, 0.5000, 0.5000)  6 O 1.95
Bi (0.0000, 0.0000, 0.0000)  6 O 2.13
O (0.7389, 0.2611, 0.2611)  1 Mn 1.95, 1 Bi 2.13
O (0.2611, 0.7389, 0.7389)  1 Mn 1.95, 1 Bi 2.13
O (0.7389, 0.2611, 0.7389)  1 Mn 1.95, 1 Bi 2.13
O (0.2611, 0.7389, 0.2611)  1 Mn 1.95, 1 Bi 2.13
O (0.7389, 0.7389, 0.2611)  1 Mn 1.95, 1 Bi 2.13
O (0.2611, 0.2611, 0.7389)  1 Mn 1.95, 1 Bi 2.13

Results
total moment	3.9	μB/cell
space-group type	F-43m, No. 216
formation energy from the elements	-2.068	eV per atom